This record from the Materials Project describes VSb2O5 after structural relaxation. The functional is PBE with a Hubbard U.

Cell: 18.164 5.152 5.585 Å, 90.00 94.76 90.00°
Space group C2/c (No. 15)
Unique sites:
V 0.000 0.129 0.250 [4 per cell]
Sb 0.162 0.207 0.655 [8 per cell]
O 0.000 0.447 0.250 [4 per cell]
O 0.071 0.000 0.022 [8 per cell]
O 0.206 0.095 0.351 [8 per cell]

Total magnetic moment in μB per formula unit: 1.0
Total DFT energy (no corrections) in eV per atom: -6.640
Theoretical density in g/cm³: 4.78
Formation enthalpy at 0 K in eV per atom: -2.02